[1]
Density functional theory data (PBE) for a geometry-optimized Y6GaCo2 structure.

Output
final energy = -234.279 eV per cell
energy of formation from the pure elements = -27 kJ/mol of atoms

Cell: 9.3583 9.5297 9.9512 Å, 90.00 90.00 90.00°
Space group Immm (No. 71)
Asymmetric unit:
Y  0.0000  0.1995  0.2336 x8
Y  0.1950  0.5000  0.1805 x8
Y  0.2182  0.3172  0.5000 x8
Ga  0.0000  0.0000  0.0000 x2
Ga  0.0000  0.0000  0.5000 x2
Co  0.0000  0.3726  0.0000 x4
Co  0.0000  0.5000  0.3882 x4

---

[2]
Density functional theory data (PBE) for a geometry-optimized Y2Ga9Co3 structure.

Output
final energy = -273.458 eV per cell
energy of formation from the pure elements = -47 kJ/mol of atoms

Cell: 12.7615 7.3952 9.4616 Å, 90.00 90.00 90.00°
Space group Cmcm (No. 63)
Asymmetric unit:
Y  0.1644  0.1675  0.2500 x8
Ga  0.0000  0.1213  0.7500 x4
Ga  0.0000  0.3341  0.0573 x8
Ga  0.1067  0.4429  0.7500 x8
Ga  0.1667  0.1673  0.5714 x16
Co  0.0000  0.0000  0.0000 x4
Co  0.1709  0.5000  0.0000 x8

---

[3]
Density functional theory data (PBE) for a geometry-optimized Y4GaCo4 structure.

Output
final energy = -120.278 eV per cell
energy of formation from the pure elements = -30 kJ/mol of atoms

Cell: 10.1721 4.0715 8.9263 Å, 90.00 110.40 90.00°
Space group C2/m (No. 12)
Asymmetric unit:
Y  0.1095  0.0000  0.3843 x4
Y  0.2453  0.0000  0.8393 x4
Ga  0.0000  0.0000  0.0000 x2
Co  0.0370  0.5000  0.8539 x4
Co  0.0890  0.5000  0.6207 x4

---

[4]
Density functional theory data (PBE) for a geometry-optimized YGa2Co3 structure.

Output
final energy = -108.128 eV per cell
energy of formation from the pure elements = -35 kJ/mol of atoms

Cell: 9.0304 9.0304 3.8200 Å, 90.00 90.00 120.00°
Space group P6/mmm (No. 191)
Asymmetric unit:
Y  0.0000  0.0000  0.0000 x1
Y  0.3333  0.6667  0.5000 x2
Ga  0.0000  0.3185  0.5000 x6
Co  0.0000  0.5000  0.0000 x3
Co  0.1839  0.3677  0.0000 x6